No. 1
Density functional theory data (GGA-PBE) for Mg4Si7 after structural relaxation.

Cell and atoms, written as POSCAR:
```
Mg4Si7
1.0
6.7047 0.0000 0.0000
0.0000 4.0892 0.0000
-2.7658 0.0000 14.1083
Mg Si
8 14
Direct
0.0000 0.0000 0.0000 Mg
0.0268 0.5000 0.4072 Mg
0.0707 0.0000 0.5730 Mg
0.4029 0.5000 0.7362 Mg
0.4413 0.0000 0.1649 Mg
0.4693 0.0000 0.9202 Mg
0.7189 0.5000 0.0804 Mg
0.9556 0.0000 0.2394 Mg
0.0889 0.0000 0.7667 Si
0.1158 0.5000 0.8708 Si
0.1194 0.5000 0.1430 Si
0.3218 0.5000 0.0242 Si
0.3317 0.0000 0.3992 Si
0.3346 0.5000 0.2965 Si
0.3753 0.5000 0.5420 Si
0.5800 0.0000 0.6109 Si
0.6815 0.5000 0.2709 Si
0.7114 0.0000 0.4083 Si
0.7218 0.5000 0.5163 Si
0.7346 0.0000 0.7797 Si
0.7580 0.5000 0.8891 Si
0.8844 0.5000 0.6835 Si
```

## Properties
As for the MP2020-corrected energy: -3.858 eV/atom. For the calculated total energy, the calculation gives -3.90 eV per atom. For the density, the calculation gives 2.52 g cm⁻³. Its total magnetization is 0.00 μB/f.u. Its distance to the lowest polymorph of the same formula is 0.031 eV/atom. The space group is No. 6.

***

No. 2
Density functional theory data (GGA-PBE) for Mg4Si3 after structural relaxation.

Cell and atoms, written as POSCAR:
```
Mg4Si3
1.0
6.8403 0.0000 0.0000
3.1949 6.0795 0.0000
0.6638 2.1274 6.8533
Mg Si
8 6
Direct
0.1442 0.2557 0.1233 Mg
0.2132 0.9093 0.8796 Mg
0.2270 0.2632 0.5195 Mg
0.2305 0.7916 0.4710 Mg
0.7695 0.2084 0.5290 Mg
0.7730 0.7368 0.4805 Mg
0.7868 0.0907 0.1204 Mg
0.8558 0.7443 0.8767 Mg
0.1047 0.6311 0.2064 Si
0.4794 0.1419 0.8370 Si
0.4971 0.5107 0.1768 Si
0.5029 0.4893 0.8232 Si
0.5206 0.8581 0.1630 Si
0.8953 0.3689 0.7936 Si
```

## Properties
As for the MP2020-corrected energy: -3.140 eV/atom. For the calculated total energy, the calculation gives -3.17 eV per atom. For the density, the calculation gives 2.11 g cm⁻³. Its total magnetization is 0.00 μB/f.u. Its distance to the lowest polymorph of the same formula is 0.096 eV/atom. The space group is No. 2.

***

No. 3
Density functional theory data (GGA-PBE) for Mg5Si6 after structural relaxation.

Cell and atoms, written as POSCAR:
```
Mg5Si6
1.0
14.6841 -2.0072 0.0000
14.6841 2.0072 0.0000
-0.9032 0.0000 6.7768
Mg Si
10 12
Direct
0.0000 0.0000 0.0000 Mg
0.0619 0.0619 0.6525 Mg
0.1077 0.1077 0.1823 Mg
0.2713 0.2713 0.0942 Mg
0.5291 0.5291 0.3315 Mg
0.6989 0.6989 0.2533 Mg
0.7402 0.7402 0.7482 Mg
0.8222 0.8222 0.4191 Mg
0.9059 0.9059 0.8184 Mg
0.9468 0.9468 0.3971 Mg
0.1762 0.1762 0.5459 Si
0.1825 0.1825 0.9237 Si
0.2551 0.2551 0.4712 Si
0.3201 0.3201 0.7345 Si
0.3696 0.3696 0.1922 Si
0.3873 0.3873 0.5457 Si
0.4434 0.4434 0.0870 Si
0.4857 0.4857 0.6919 Si
0.5579 0.5579 0.9461 Si
0.6244 0.6244 0.4936 Si
0.6338 0.6338 0.8602 Si
0.8281 0.8281 0.9916 Si
```

## Properties
As for the MP2020-corrected energy: -3.564 eV/atom. For the calculated total energy, the calculation gives -3.60 eV per atom. For the density, the calculation gives 2.41 g cm⁻³. Its total magnetization is 0.00 μB/f.u. Its distance to the lowest polymorph of the same formula is 0.057 eV/atom. The space group is No. 8.

***

Q: Look up the calculated total energy of the third one.
A: -3.60 eV per atom

***

Q: What is the total magnetization in the third record?
A: 0.00 μB/f.u.